The following is a DFT calculation (GGA-PBE) of Si2Ag6O7 after structural relaxation.

## Properties
* symmetry: C2/m, No. 12
* MP2020-corrected energy: -253.0 eV per cell
* E above lowest polymorph: 0 meV/atom

Unit cell a=8.1823 b=8.1823 c=10.8565 alpha=103.07 beta=103.07 gamma=74.67
With the nearest neighbours (Å) after each atom.
Sites, in units of the cell vectors:
Si 0.1052 0.1052 0.1267  4 O 1.64-1.66
Si 0.1972 0.1972 0.6174  4 O 1.66-1.68
Si 0.3439 0.3439 0.1275  4 O 1.65-1.68
Si 0.6561 0.6561 0.8725  4 O 1.65-1.68
Si 0.8028 0.8028 0.3826  4 O 1.66-1.68
Si 0.8948 0.8948 0.8733  4 O 1.64-1.66
Ag 0.0036 0.3626 0.8653  2 O 2.22-2.28
Ag 0.1040 0.4492 0.3794  4 O 2.27-2.51
Ag 0.1401 0.8382 0.6570  2 O 2.18-2.21
Ag 0.1618 0.8599 0.3430  2 O 2.18-2.21
Ag 0.2750 0.5600 0.8614  4 O 2.33-2.57
Ag 0.3626 0.0036 0.8653  2 O 2.22-2.28
Ag 0.4400 0.7250 0.1386  4 O 2.33-2.57
Ag 0.4492 0.1040 0.3794  4 O 2.27-2.51
Ag 0.4589 0.4589 0.6357  2 O 2.08-2.10
Ag 0.5411 0.5411 0.3643  2 O 2.08-2.10
Ag 0.5508 0.8960 0.6206  4 O 2.27-2.51
Ag 0.5600 0.2750 0.8614  4 O 2.33-2.57
Ag 0.6374 0.9964 0.1347  2 O 2.22-2.28
Ag 0.7250 0.4400 0.1386  4 O 2.33-2.57
Ag 0.8382 0.1401 0.6570  2 O 2.18-2.21
Ag 0.8599 0.1618 0.3430  2 O 2.18-2.21
Ag 0.8960 0.5508 0.6206  4 O 2.27-2.51
Ag 0.9964 0.6374 0.1347  2 O 2.22-2.28
O 0.0000 0.0000 0.0000  2 Si 1.64
O 0.0136 0.7399 0.4294  1 Si 1.66
O 0.0255 0.7528 0.7866  1 Si 1.64
O 0.2097 0.2097 0.0676  2 Si 1.66-1.68
O 0.2464 0.2464 0.7782  1 Si 1.68
O 0.2472 0.9745 0.2134  1 Si 1.64
O 0.2492 0.5251 0.0733  1 Si 1.65
O 0.2601 0.9864 0.5706  1 Si 1.66
O 0.2944 0.2944 0.5464  1 Si 1.66
O 0.3740 0.3740 0.2859  1 Si 1.65
O 0.4749 0.7508 0.9267  1 Si 1.65
O 0.5251 0.2492 0.0733  1 Si 1.65
O 0.6260 0.6260 0.7141  1 Si 1.65
O 0.7056 0.7056 0.4536  1 Si 1.66
O 0.7399 0.0136 0.4294  1 Si 1.66
O 0.7508 0.4749 0.9267  1 Si 1.65
O 0.7528 0.0255 0.7866  1 Si 1.64
O 0.7536 0.7536 0.2218  1 Si 1.68
O 0.7903 0.7903 0.9324  2 Si 1.66-1.68
O 0.9745 0.2472 0.2134  1 Si 1.64
O 0.9864 0.2601 0.5706  1 Si 1.66


The following is a DFT calculation (GGA-PBE) of Li3Bi2P3O12 after structural relaxation.

## Properties
* symmetry: C2/c, No. 15
* MP2020-corrected energy: -278.3 eV per cell
* E above lowest polymorph: 11 meV/atom

Unit cell a=8.8751 b=8.8751 c=9.2540 alpha=116.36 beta=116.36 gamma=63.33
With the nearest neighbours (Å) after each atom.
Sites, in units of the cell vectors:
Li 0.1082 0.8918 0.7500  2 O 1.92
Li 0.1780 0.4608 0.7103  4 O 1.92-2.12
Li 0.4608 0.1780 0.2103  4 O 1.92-2.12
Li 0.5392 0.8220 0.7897  4 O 1.92-2.12
Li 0.8220 0.5392 0.2897  4 O 1.92-2.12
Li 0.8918 0.1082 0.2500  2 O 1.92
Bi 0.1525 0.6625 0.3569  6 O 2.30-2.45
Bi 0.3375 0.8475 0.1431  6 O 2.30-2.45
Bi 0.6625 0.1525 0.8569  6 O 2.30-2.45
Bi 0.8475 0.3375 0.6431  6 O 2.30-2.45
P 0.0433 0.2467 0.0756  4 O 1.54-1.56
P 0.2467 0.0433 0.5756  4 O 1.54-1.56
P 0.4175 0.5825 0.7500  4 O 1.55-1.58
P 0.5825 0.4175 0.2500  4 O 1.55-1.58
P 0.7533 0.9567 0.4244  4 O 1.54-1.56
P 0.9567 0.7533 0.9244  4 O 1.54-1.56
O 0.0273 0.4382 0.2006  1 P 1.56
O 0.0271 0.7602 0.1118  1 P 1.54
O 0.0732 0.8211 0.8980  1 P 1.55
O 0.1278 0.2409 0.6180  1 P 1.56
O 0.1789 0.9268 0.6020  1 P 1.55
O 0.2323 0.5950 0.6076  1 P 1.58
O 0.2398 0.9729 0.3882  1 P 1.54
O 0.2409 0.1278 0.1180  1 P 1.56
O 0.4050 0.7677 0.8924  1 P 1.58
O 0.4352 0.4455 0.3142  1 P 1.55
O 0.4382 0.0273 0.7006  1 P 1.56
O 0.4455 0.4352 0.8142  1 P 1.55
O 0.5545 0.5648 0.1858  1 P 1.55
O 0.5618 0.9727 0.2994  1 P 1.56
O 0.5648 0.5545 0.6858  1 P 1.55
O 0.5950 0.2323 0.1076  1 P 1.58
O 0.7591 0.8722 0.8820  1 P 1.56
O 0.7602 0.0271 0.6118  1 P 1.54
O 0.7677 0.4050 0.3924  1 P 1.58
O 0.8211 0.0732 0.3980  1 P 1.55
O 0.8722 0.7591 0.3820  1 P 1.56
O 0.9268 0.1789 0.1020  1 P 1.55
O 0.9729 0.2398 0.8882  1 P 1.54
O 0.9727 0.5618 0.7994  1 P 1.56


The following is a DFT calculation (GGA-PBE) of Sr2Ru3O10 after structural relaxation.

## Properties
* symmetry: C2/m, No. 12
* MP2020-corrected energy: -109.4 eV per cell

Unit cell a=6.3518 b=6.3518 c=6.6617 alpha=101.35 beta=101.35 gamma=52.25
With the nearest neighbours (Å) after each atom.
Sites, in units of the cell vectors:
Sr 0.1776 0.1776 0.1632  5 O 2.52-2.72
Sr 0.8224 0.8224 0.8368  5 O 2.52-2.72
Ru 0.2720 0.7280 0.5000  6 O 1.96-1.97
Ru 0.5000 0.5000 0.0000  6 O 1.89-1.93
Ru 0.7280 0.2720 0.5000  6 O 1.96-1.97
O 0.1106 0.1106 0.5311  2 Ru 1.96
O 0.2548 0.7447 0.2044  2 Ru 1.93-1.97
O 0.2553 0.7452 0.7956  2 Ru 1.93-1.97
O 0.3302 0.3302 0.9398  1 Ru 1.89
O 0.3654 0.3654 0.4462  2 Ru 1.97
O 0.6346 0.6346 0.5538  2 Ru 1.97
O 0.6698 0.6698 0.0602  1 Ru 1.89
O 0.7447 0.2548 0.2044  2 Ru 1.93-1.97
O 0.7452 0.2553 0.7956  2 Ru 1.93-1.97
O 0.8894 0.8894 0.4689  2 Ru 1.96


The following is a DFT calculation (GGA-PBE) of PuSi3 after structural relaxation.

## Properties
* symmetry: P6_3/mmc, No. 194
* MP2020-corrected energy: -63.6 eV per cell

Unit cell a=5.8844 b=5.8844 c=4.4303 alpha=90.00 beta=90.00 gamma=120.00
With the nearest neighbours (Å) after each atom.
Sites, in units of the cell vectors:
Pu 0.3333 0.6667 0.2500  12 Si 2.93-2.95
Pu 0.6667 0.3333 0.7500  12 Si 2.93-2.95
Si 0.1445 0.2889 0.7500  6 Si 2.55-2.66
Si 0.1445 0.8555 0.7500  6 Si 2.55-2.66
Si 0.2889 0.1445 0.2500  6 Si 2.55-2.66
Si 0.7111 0.8555 0.7500  6 Si 2.55-2.66
Si 0.8555 0.1445 0.2500  6 Si 2.55-2.66
Si 0.8555 0.7111 0.2500  6 Si 2.55-2.66


The following is a DFT calculation (GGA-PBE) of YB2Rh2C after structural relaxation.

## Properties
* symmetry: I4/mmm, No. 139

Unit cell a=3.8066 b=3.8066 c=10.3480 alpha=90.00 beta=90.00 gamma=90.00
With the nearest neighbours (Å) after each atom.
Sites, in units of the cell vectors:
Y 0.0000 0.0000 0.0000  4 C 2.69
Y 0.5000 0.5000 0.5000  4 C 2.69
B 0.0000 0.0000 0.3554  1 C 1.50
B 0.0000 0.0000 0.6446  1 C 1.50
B 0.5000 0.5000 0.1446  1 C 1.50
B 0.5000 0.5000 0.8554  1 C 1.50
Rh 0.0000 0.5000 0.2500  4 B 2.19
Rh 0.0000 0.5000 0.7500  4 B 2.19
Rh 0.5000 0.0000 0.2500  4 B 2.19
Rh 0.5000 0.0000 0.7500  4 B 2.19
C 0.0000 0.0000 0.5000  2 B 1.50
C 0.5000 0.5000 0.0000  2 B 1.50


The following is a DFT calculation (GGA-PBE) of TbZnCuAs2 after structural relaxation.

## Properties
* symmetry: P3m1, No. 156

Unit cell a=4.1256 b=4.1256 c=6.7238 alpha=90.00 beta=90.00 gamma=120.00
With the nearest neighbours (Å) after each atom.
Sites, in units of the cell vectors:
Tb 0.0000 0.0000 0.0000  6 As 2.86-2.99
Zn 0.6667 0.3333 0.3922  4 As 2.50-2.52
Cu 0.3333 0.6667 0.6559  4 As 2.49-2.60
As 0.3333 0.6667 0.2687  3 Zn 2.52, 1 Cu 2.60
As 0.6667 0.3333 0.7644  3 Cu 2.49, 1 Zn 2.50


The following is a DFT calculation (GGA-PBE) of K3GeS3 after structural relaxation.

## Properties
* symmetry: C2/m, No. 12
* MP2020-corrected energy: -58.2 eV per cell

Unit cell a=7.6741 b=7.6741 c=8.3249 alpha=104.91 beta=104.91 gamma=110.06
With the nearest neighbours (Å) after each atom.
Sites, in units of the cell vectors:
K 0.0000 0.5000 0.5000  6 S 3.22-3.57
K 0.1681 0.8319 0.0000  6 S 3.18-3.40
K 0.2839 0.2839 0.8144  6 S 3.27-3.43
K 0.5000 0.0000 0.5000  6 S 3.22-3.57
K 0.7161 0.7161 0.1856  6 S 3.27-3.43
K 0.8319 0.1681 0.0000  6 S 3.18-3.40
Ge 0.3816 0.3816 0.3436  3 S 2.25, 1 Ge 2.50
Ge 0.6184 0.6184 0.6564  3 S 2.25, 1 Ge 2.50
S 0.1316 0.1316 0.3571  1 Ge 2.25
S 0.2572 0.5496 0.2002  1 Ge 2.25
S 0.4504 0.7428 0.7998  1 Ge 2.25
S 0.5496 0.2572 0.2002  1 Ge 2.25
S 0.7428 0.4504 0.7998  1 Ge 2.25
S 0.8684 0.8684 0.6429  1 Ge 2.25


The following is a DFT calculation (GGA-PBE) of Ca3AlSb3 after structural relaxation.

## Properties
* symmetry: Pnma, No. 62
* MP2020-corrected energy: -114.3 eV per cell

Unit cell a=12.9692 b=4.5239 c=14.3480 alpha=90.00 beta=90.00 gamma=90.00
With the nearest neighbours (Å) after each atom.
Sites, in units of the cell vectors:
Ca 0.0581 0.2500 0.1121  6 Sb 3.18-3.43
Ca 0.1500 0.7500 0.4967  6 Sb 3.18-3.41
Ca 0.2276 0.7500 0.7793  5 Sb 3.14-3.25, 2 Al 3.25
Ca 0.2724 0.2500 0.2793  5 Sb 3.14-3.25, 2 Al 3.25
Ca 0.3500 0.2500 0.9967  6 Sb 3.18-3.41
Ca 0.4419 0.7500 0.6121  6 Sb 3.18-3.43
Ca 0.5581 0.2500 0.3879  6 Sb 3.18-3.43
Ca 0.6500 0.7500 0.0033  6 Sb 3.18-3.41
Ca 0.7276 0.7500 0.7207  5 Sb 3.14-3.25, 2 Al 3.25
Ca 0.7724 0.2500 0.2207  5 Sb 3.14-3.25, 2 Al 3.25
Ca 0.8500 0.2500 0.5033  6 Sb 3.18-3.41
Ca 0.9419 0.7500 0.8879  6 Sb 3.18-3.43
Al 0.0679 0.2500 0.7034  4 Sb 2.73-2.77
Al 0.4321 0.7500 0.2034  4 Sb 2.73-2.77
Al 0.5679 0.2500 0.7966  4 Sb 2.73-2.77
Al 0.9321 0.7500 0.2966  4 Sb 2.73-2.77
Sb 0.0401 0.2500 0.3504  2 Al 2.77
Sb 0.1142 0.2500 0.8907  1 Al 2.75
Sb 0.2434 0.7500 0.1185  1 Al 2.73
Sb 0.2566 0.2500 0.6185  1 Al 2.73
Sb 0.3858 0.7500 0.3907  1 Al 2.75
Sb 0.4599 0.7500 0.8504  2 Al 2.77
Sb 0.5401 0.2500 0.1496  2 Al 2.77
Sb 0.6142 0.2500 0.6093  1 Al 2.75
Sb 0.7434 0.7500 0.3815  1 Al 2.73
Sb 0.7566 0.2500 0.8815  1 Al 2.73
Sb 0.8858 0.7500 0.1093  1 Al 2.75
Sb 0.9599 0.7500 0.6496  2 Al 2.77


Per-record energy of formation, eV/f.u.: -21.84; -50.03; -28.67; -1.27; -3.53; -3.35; -8.76; -6.42
Per-record E_tot, eV per atom: -5.30; -6.55; -6.83; -8.01; -7.89; -4.53; -3.94; -4.00